No. 1
Na3Nb4Zn8P3S15O72, relaxed, DFT GGA-PBE; space group = No. 1; energy of formation from the pure elements = -2114 meV per atom
1.0
8.729 0.000 0.000
4.355 7.566 0.000
0.009 0.049 22.680
Na Nb Zn P S O
3 4 8 3 15 72
Cartesian
0.000 0.000 0.000 Na
4.370 7.568 11.424 Na
8.764 5.036 3.805 Na
4.347 2.512 15.548 Nb
4.350 2.487 4.305 Nb
8.709 5.115 18.446 Nb
8.716 0.072 7.998 Nb
0.068 0.056 19.273 Zn
4.423 7.570 14.731 Zn
4.363 2.544 10.854 Zn
4.365 2.571 22.188 Zn
8.723 5.073 11.787 Zn
8.736 5.020 0.425 Zn
8.787 5.058 7.138 Zn
8.694 0.039 3.385 Zn
6.839 7.597 17.002 P
10.560 7.506 5.605 P
9.936 2.232 5.603 P
3.111 5.413 17.003 S
1.805 2.542 13.164 S
3.105 4.729 1.852 S
5.652 5.399 5.624 S
3.085 0.312 1.846 S
5.637 4.756 13.173 S
6.171 5.089 20.833 S
7.492 7.254 9.444 S
6.901 2.518 1.843 S
5.669 0.327 13.172 S
7.435 2.910 9.451 S
10.029 7.298 20.824 S
7.476 2.212 17.001 S
10.003 2.867 20.821 S
11.262 5.027 9.455 S
0.976 1.346 13.380 O
3.725 6.051 2.027 O
1.008 1.301 6.887 O
3.717 5.947 18.202 O
2.725 2.794 20.888 O
3.399 3.859 3.094 O
2.731 2.709 14.422 O
3.438 3.896 9.625 O
3.683 4.105 0.665 O
2.670 2.303 12.013 O
3.683 4.031 16.770 O
2.790 2.323 5.429 O
4.997 6.070 13.369 O
1.636 0.176 2.036 O
1.729 0.331 18.260 O
5.001 5.999 6.848 O
5.938 7.393 9.234 O
5.342 6.283 20.619 O
5.426 6.185 4.433 O
6.083 7.294 15.739 O
5.015 4.125 12.009 O
4.981 4.042 5.468 O
3.330 1.136 0.669 O
3.468 1.249 16.714 O
3.653 1.042 9.615 O
5.320 3.883 14.424 O
3.696 1.010 3.095 O
5.401 3.860 20.886 O
7.599 6.421 10.646 O
7.034 5.329 21.990 O
7.076 5.190 5.836 O
7.827 6.378 17.284 O
8.027 6.655 8.228 O
7.099 4.919 19.579 O
7.089 4.831 13.105 O
8.117 6.566 1.808 O
4.999 1.015 20.883 O
5.053 1.048 14.429 O
6.007 2.694 3.085 O
6.010 2.662 9.614 O
5.993 2.424 16.767 O
5.355 1.279 5.426 O
6.068 2.322 0.659 O
5.438 1.188 12.015 O
7.712 3.756 1.802 O
9.352 6.607 13.113 O
7.686 3.657 8.227 O
9.413 6.575 19.571 O
9.601 6.369 5.842 O
8.050 3.596 17.229 O
9.802 6.439 21.987 O
8.115 3.407 10.645 O
7.610 1.413 18.200 O
7.747 1.325 2.000 O
7.118 0.222 13.410 O
7.125 0.220 6.881 O
8.087 1.679 15.795 O
11.398 7.302 4.387 O
11.477 7.402 20.587 O
8.094 1.475 9.256 O
9.386 3.612 5.841 O
10.354 5.202 17.232 O
9.380 3.492 21.992 O
10.482 5.360 10.650 O
9.686 3.745 19.576 O
10.357 4.815 1.807 O
9.759 3.769 13.105 O
10.480 4.847 8.240 O
11.970 6.214 15.797 O
9.383 1.578 4.383 O
9.365 1.554 20.628 O
12.168 6.291 9.236 O


No. 2
Na3Nb2Zn4P3S6O36, relaxed, DFT GGA-PBE; space group = No. 158; energy of formation from the pure elements = -2232 meV per atom
1.0
8.739 0.000 0.000
-4.369 7.568 0.000
0.000 0.000 22.801
Na Nb Zn P S O
6 4 8 6 12 72
Cartesian
0.000 0.000 0.000 Na
0.000 0.000 11.401 Na
0.000 5.045 3.750 Na
0.000 5.045 15.151 Na
4.369 2.523 7.567 Na
4.369 2.523 18.967 Na
0.000 5.045 7.296 Nb
0.000 5.045 18.697 Nb
4.369 2.523 10.965 Nb
4.369 2.523 22.366 Nb
0.000 0.000 3.479 Zn
0.000 0.000 8.144 Zn
0.000 0.000 14.880 Zn
0.000 0.000 19.544 Zn
0.000 5.045 0.416 Zn
0.000 5.045 11.817 Zn
4.369 2.523 4.257 Zn
4.369 2.523 15.657 Zn
-1.224 2.819 9.646 P
-2.540 5.099 21.047 P
1.224 2.819 21.047 P
-1.316 7.219 9.646 P
2.540 5.099 9.646 P
1.316 7.219 21.047 P
2.548 0.026 17.183 S
1.296 2.194 5.782 S
3.092 0.301 2.016 S
1.806 2.527 13.416 S
5.647 0.301 13.416 S
3.084 4.740 2.016 S
6.191 0.026 5.782 S
3.118 5.348 17.183 S
6.933 2.527 2.016 S
5.655 4.740 13.416 S
7.442 2.194 17.183 S
5.621 5.348 5.782 S
-0.707 1.435 9.390 O
-3.480 6.238 20.790 O
-0.669 1.671 15.958 O
-3.256 6.153 4.557 O
-1.013 3.759 8.362 O
-1.621 4.812 19.762 O
-0.976 3.724 1.857 O
-1.632 4.861 13.257 O
-0.667 3.441 10.885 O
-1.723 5.269 22.286 O
-0.646 3.601 17.359 O
-1.574 5.209 5.958 O
0.707 1.435 20.790 O
-2.773 7.463 9.390 O
0.669 1.671 4.557 O
-2.588 7.311 15.958 O
1.615 0.247 2.041 O
1.022 1.275 13.442 O
1.752 0.192 18.393 O
1.043 1.422 6.992 O
0.667 3.441 22.286 O
-1.056 6.425 10.885 O
0.646 3.601 5.958 O
-0.928 6.327 17.359 O
0.976 3.724 13.257 O
-0.656 6.551 1.857 O
1.013 3.759 19.762 O
-0.608 6.566 8.362 O
3.423 1.176 0.777 O
2.730 2.376 12.177 O
3.468 1.176 17.056 O
2.753 2.416 5.655 O
3.663 0.934 3.210 O
2.640 2.706 14.611 O
1.621 4.812 8.362 O
0.608 6.566 19.762 O
3.800 1.061 9.762 O
2.819 2.760 21.162 O
1.632 4.861 1.857 O
0.656 6.551 13.257 O
1.574 5.209 17.359 O
0.928 6.327 5.958 O
1.723 5.269 10.885 O
1.056 6.425 22.286 O
4.939 1.061 21.162 O
3.389 3.747 9.762 O
5.075 0.934 14.611 O
3.346 3.929 3.210 O
5.270 1.176 5.655 O
3.654 3.976 17.056 O
5.316 1.176 12.177 O
3.677 4.016 0.777 O
3.256 6.153 15.958 O
2.588 7.311 4.557 O
3.480 6.238 9.390 O
2.773 7.463 20.790 O
6.986 0.192 6.992 O
3.660 5.954 18.393 O
7.124 0.247 13.442 O
3.776 6.046 2.041 O
6.009 2.376 0.777 O
5.986 2.416 17.056 O
5.085 3.976 5.655 O
5.062 4.016 12.177 O
5.920 2.760 9.762 O
5.350 3.747 21.162 O
6.098 2.706 3.210 O
5.392 3.929 14.611 O
7.717 1.275 2.041 O
4.963 6.046 13.442 O
7.696 1.422 18.393 O
5.079 5.954 6.992 O


No. 3
Na6NbZn5P3S6O36, relaxed, DFT GGA-PBE; space group = No. 9; energy of formation from the pure elements = -2192 meV per atom
1.0
7.672 -4.451 0.000
7.672 4.451 0.000
-0.073 0.000 22.342
Na Nb Zn P S O
12 2 10 6 12 72
Cartesian
7.636 4.352 11.171 Na
4.882 0.177 14.847 Na
4.919 -0.177 3.676 Na
7.540 1.206 5.504 Na
10.284 2.808 16.492 Na
7.503 -1.206 16.674 Na
10.021 0.172 7.428 Na
9.984 -0.172 18.598 Na
12.615 1.151 20.479 Na
12.652 -1.151 9.308 Na
7.672 -4.352 0.000 Na
10.321 -2.808 5.321 Na
4.984 0.023 11.512 Nb
5.021 -0.023 0.341 Nb
7.573 4.384 7.739 Zn
7.479 4.323 14.301 Zn
5.028 0.074 18.238 Zn
5.065 -0.074 7.068 Zn
10.010 0.126 10.783 Zn
10.232 0.046 14.872 Zn
9.973 -0.126 21.954 Zn
10.269 -0.046 3.701 Zn
7.516 -4.323 3.131 Zn
7.536 -4.384 18.910 Zn
7.296 1.297 9.114 P
10.044 2.681 12.933 P
7.259 -1.297 20.285 P
12.380 1.253 1.634 P
12.343 -1.253 12.804 P
10.081 -2.681 1.762 P
2.701 1.308 9.141 S
4.942 2.631 20.330 S
7.496 1.824 16.655 S
9.812 3.126 5.465 S
2.664 -1.308 20.311 S
7.849 1.345 1.751 S
4.978 -2.631 9.159 S
7.812 -1.345 12.922 S
7.533 -1.824 5.484 S
12.896 1.296 16.664 S
12.933 -1.296 5.493 S
9.776 -3.126 16.636 S
6.133 3.446 4.346 O
1.385 0.653 9.148 O
1.470 0.713 15.451 O
6.196 3.423 20.337 O
4.757 1.842 19.104 O
3.487 1.043 7.906 O
5.009 1.717 21.525 O
4.851 1.577 12.627 O
3.743 0.892 1.493 O
3.466 0.724 10.321 O
5.107 1.645 5.531 O
3.450 0.677 16.774 O
7.258 2.849 9.200 O
1.348 -0.653 20.319 O
8.917 3.699 13.024 O
1.507 -0.713 4.281 O
7.591 2.774 1.875 O
7.362 2.624 15.433 O
7.670 2.661 17.864 O
8.993 3.357 6.695 O
3.487 -0.677 5.603 O
3.429 -0.724 21.492 O
6.300 0.919 16.732 O
6.288 0.843 10.282 O
3.707 -0.892 12.664 O
6.452 0.682 1.563 O
3.451 -1.043 19.077 O
6.688 0.810 7.781 O
8.655 1.062 0.579 O
9.857 1.781 11.741 O
10.350 1.956 14.265 O
8.347 0.723 3.005 O
9.927 1.646 5.340 O
8.712 0.936 16.572 O
10.265 1.687 20.471 O
8.651 0.653 9.319 O
4.888 -1.577 1.456 O
6.416 -0.682 12.733 O
6.251 -0.843 21.453 O
6.336 -0.919 5.561 O
5.070 -1.645 16.702 O
4.794 -1.842 7.934 O
5.046 -1.717 10.354 O
6.651 -0.810 18.951 O
11.509 1.178 2.883 O
8.311 -0.723 14.176 O
8.614 -0.653 20.490 O
11.494 0.911 9.278 O
11.525 0.720 16.552 O
8.749 -0.936 5.402 O
11.736 0.765 0.339 O
8.619 -1.062 11.749 O
7.398 -2.624 4.262 O
6.096 -3.446 15.517 O
13.476 0.817 17.951 O
6.233 -3.423 9.166 O
7.222 -2.849 20.371 O
7.707 -2.661 6.693 O
7.554 -2.774 13.045 O
13.789 0.695 1.766 O
9.890 -1.646 16.510 O
11.561 -0.720 5.381 O
9.894 -1.781 0.571 O
11.699 -0.765 11.510 O
11.457 -0.911 20.449 O
10.301 -1.687 9.300 O
11.472 -1.178 14.054 O
10.387 -1.956 3.094 O
8.956 -3.357 17.865 O
13.513 -0.817 6.780 O
13.752 -0.695 12.937 O
8.954 -3.699 1.853 O


No. 4
Na6Sc3NbSi2P4O24, relaxed, DFT GGA-PBE; energy of formation from the pure elements = -3027 meV per atom
1.0
-14.208 -3.147 5.997
-2.643 -3.309 -8.026
7.026 -5.763 -0.031
Na Sc Nb Si P O
12 6 2 4 8 48
Cartesian
1.476 -9.026 -4.552 Na
-9.168 -7.638 -1.588 Na
-4.306 -8.944 2.459 Na
-0.743 -4.410 -0.574 Na
-2.133 -6.106 2.287 Na
-7.733 -6.029 -4.157 Na
-10.559 -9.334 1.273 Na
0.692 -2.801 -3.143 Na
-3.062 -5.368 -6.314 Na
-6.791 -6.880 4.182 Na
-8.845 -5.287 0.698 Na
-1.009 -6.961 -2.829 Na
0.470 -6.081 -5.447 Sc
-10.289 -6.142 3.386 Sc
-1.734 -1.491 -1.419 Sc
-5.312 -5.999 1.565 Sc
-4.507 -6.224 -3.626 Sc
-10.159 -4.719 -2.433 Sc
-8.099 -10.710 -0.654 Nb
0.326 -7.482 0.360 Nb
-2.082 -8.423 -5.129 Si
-7.743 -3.852 3.085 Si
-7.864 -8.342 1.882 Si
-1.960 -3.934 -3.927 Si
2.779 -7.540 -7.671 P
-12.556 -4.697 5.627 P
-3.004 -7.459 -0.659 P
-6.773 -4.779 -1.385 P
-6.333 -9.272 -3.311 P
-3.505 -2.953 1.282 P
2.092 -6.044 -2.297 P
-11.930 -6.181 0.268 P
1.536 -6.631 -3.626 O
-8.201 -9.019 0.374 O
-11.536 -5.528 1.618 O
-1.564 -3.284 -2.495 O
-4.246 -6.550 3.385 O
0.225 -5.791 1.388 O
-5.753 -5.609 -5.394 O
-9.989 -6.512 -3.509 O
-3.485 -6.625 -1.873 O
-2.958 -8.949 -0.990 O
-6.204 -5.578 -0.206 O
-6.825 -3.261 -0.961 O
-9.268 -6.544 5.139 O
5.467 -5.721 0.025 O
-0.421 -5.660 -7.218 O
-15.250 -6.489 -1.975 O
-0.577 -7.818 -5.084 O
-7.454 -9.493 -2.231 O
-9.267 -4.388 2.893 O
-2.390 -2.758 0.248 O
-6.359 -7.737 1.927 O
0.971 -6.264 -1.217 O
-3.485 -4.470 -4.119 O
-10.815 -5.987 -0.766 O
-3.273 -7.306 -4.906 O
-5.060 -10.058 -2.982 O
-6.647 -5.001 2.730 O
-4.847 -2.199 0.846 O
-9.056 -7.224 2.105 O
3.366 -6.830 -1.968 O
-0.864 -5.082 -4.282 O
-13.272 -5.427 -0.168 O
-2.214 -9.591 -4.007 O
-6.051 -7.757 -3.415 O
-7.507 -2.687 1.844 O
-3.842 -4.437 1.451 O
-7.996 -9.510 3.005 O
2.374 -4.529 -2.401 O
-1.724 -2.768 -5.168 O
-12.267 -7.665 0.437 O
2.040 -7.282 -6.347 O
-9.940 -10.148 -1.431 O
-11.748 -4.822 4.324 O
0.211 -2.085 -0.606 O
-3.742 -7.201 0.664 O
-1.514 -6.920 -0.416 O
-5.966 -4.904 -2.687 O
-8.215 -5.313 -1.620 O